## A
## Ni15O16 (PBE with a Hubbard U)

Data for Ni15O16 after structural relaxation.

```
data_Ni15O16
_chemical_formula_sum 'Ni45 O48'
_space_group_name_H-M_alt 'R -3 m'
_space_group_IT_number 166
_space_group_name_Hall '-R 3 2"'
_cell_length_a 5.9040
_cell_length_b 5.9040
_cell_length_c 30.4091
_cell_angle_alpha 90.00
_cell_angle_beta 90.00
_cell_angle_gamma 120.00
loop_
_atom_site_label
_atom_site_fract_x
_atom_site_fract_y
_atom_site_fract_z
_atom_site_occupancy
Ni1 0.0000 0.0000 0.0000 1
Ni2 0.0000 0.0000 0.1756 1
Ni3 0.0000 0.0000 0.2561 1
Ni4 0.0000 0.0000 0.5000 1
Ni5 0.0000 0.5000 0.0000 1
Ni6 0.0014 0.5007 0.2491 1
O1 0.0000 0.0000 0.1136 1
O2 0.0000 0.0000 0.3754 1
O3 0.0013 0.5007 0.3721 1
O4 0.0032 0.5016 0.1218 1
```

## B
## Ni15O16 (PBE with a Hubbard U)

Data for Ni15O16 after structural relaxation.

```
data_Ni15O16
_chemical_formula_sum 'Ni45 O48'
_space_group_name_H-M_alt 'R -3 m'
_space_group_IT_number 166
_space_group_name_Hall '-R 3 2"'
_cell_length_a 5.9465
_cell_length_b 5.9465
_cell_length_c 29.0698
_cell_angle_alpha 90.00
_cell_angle_beta 90.00
_cell_angle_gamma 120.00
loop_
_atom_site_label
_atom_site_fract_x
_atom_site_fract_y
_atom_site_fract_z
_atom_site_occupancy
Ni1 0.0000 0.0000 0.0000 1
Ni2 0.0000 0.0000 0.2502 1
Ni3 0.0000 0.5000 0.0000 1
Ni4 0.0000 0.5000 0.5000 1
Ni5 0.0063 0.5031 0.2476 1
O1 0.0000 0.0000 0.1250 1
O2 0.0000 0.0000 0.3750 1
O3 0.0017 0.5008 0.6251 1
O4 0.0193 0.5097 0.8772 1
```

## C
## Ni15O16 (PBE with a Hubbard U)

Data for Ni15O16 after structural relaxation.

```
data_Ni15O16
_chemical_formula_sum 'Ni30 O32'
_space_group_name_H-M_alt 'I m -3 m'
_space_group_IT_number 229
_space_group_name_Hall '-I 4 2 3'
_cell_length_a 8.4025
_cell_length_b 8.4025
_cell_length_c 8.4025
_cell_angle_alpha 90.00
_cell_angle_beta 90.00
_cell_angle_gamma 90.00
loop_
_atom_site_label
_atom_site_fract_x
_atom_site_fract_y
_atom_site_fract_z
_atom_site_occupancy
Ni1 0.0000 0.0000 0.5000 1
Ni2 0.0000 0.2459 0.2459 1
O1 0.0000 0.0000 0.2692 1
O2 0.0000 0.2500 0.5000 1
O3 0.2500 0.2500 0.2500 1
```

Going by the energies, B is most stable and the next is 1.1 kJ/mol of atoms up.

## A
## NiP4O12 (PBE with a Hubbard U)

Data for NiP4O12 after structural relaxation.

```
data_NiP4O12
_chemical_formula_sum 'Ni4 P16 O48'
_space_group_name_H-M_alt 'C 1 2/m 1'
_space_group_IT_number 12
_cell_length_a 17.1901
_cell_length_b 12.4654
_cell_length_c 5.1752
_cell_angle_alpha 90.00
_cell_angle_beta 98.94
_cell_angle_gamma 90.00
loop_
_space_group_symop_operation_xyz
'x,y,z'
'-x,-y,-z'
'-x,y,-z'
'x,-y,z'
'x+1/2,y+1/2,z'
'-x+1/2,-y+1/2,-z'
'-x+1/2,y+1/2,-z'
'x+1/2,-y+1/2,z'
loop_
_atom_site_label
_atom_site_fract_x
_atom_site_fract_y
_atom_site_fract_z
_atom_site_occupancy
Ni1 0.2500 0.2500 0.0000 1
P1 0.0761 0.2200 0.1772 1
P2 0.1827 0.3798 0.4713 1
O1 0.0000 0.2725 0.0000 1
O2 0.0537 0.1244 0.3307 1
O3 0.0998 0.3212 0.3632 1
O4 0.1375 0.1946 0.0076 1
O5 0.1538 0.5000 0.3968 1
O6 0.1994 0.3704 0.7653 1
O7 0.2441 0.3462 0.3170 1
```

## B
## NiP4O12 (PBE with a Hubbard U)

Data for NiP4O12 after structural relaxation.

```
data_NiP4O12
_chemical_formula_sum 'Ni4 P16 O48'
_space_group_name_H-M_alt 'C 1 c 1'
_space_group_IT_number 9
_cell_length_a 9.5419
_cell_length_b 13.3681
_cell_length_c 7.5590
_cell_angle_alpha 90.00
_cell_angle_beta 110.63
_cell_angle_gamma 90.00
loop_
_space_group_symop_operation_xyz
'x,y,z'
'x,-y,z+1/2'
'x+1/2,y+1/2,z'
'x+1/2,-y+1/2,z+1/2'
loop_
_atom_site_label
_atom_site_fract_x
_atom_site_fract_y
_atom_site_fract_z
_atom_site_occupancy
Ni1 0.0000 0.1290 0.0000 1
P1 0.0651 0.3284 0.8432 1
P2 0.1282 0.0812 0.4338 1
P3 0.3714 0.4185 0.0647 1
P4 0.4370 0.1652 0.6277 1
O1 0.0000 0.1283 0.4990 1
O2 0.0465 0.3564 0.3149 1
O3 0.1167 0.0321 0.9258 1
O4 0.1204 0.2269 0.9470 1
O5 0.1360 0.1314 0.2563 1
O6 0.2243 0.3877 0.8983 1
O7 0.2761 0.1128 0.5999 1
O8 0.3645 0.3680 0.2427 1
O9 0.3826 0.2736 0.5599 1
O10 0.3840 0.4682 0.5743 1
O11 0.4793 0.1120 0.4603 1
O12 0.4844 0.1651 0.1395 1
```

Going by the energies, A is most stable and the next is 5.4 kJ/mol of atoms up.

## A
## NiP4O12 (PBE with a Hubbard U)

Data for NiP4O12 after structural relaxation.

```
data_NiP4O12
_chemical_formula_sum 'Ni4 P16 O48'
_space_group_name_H-M_alt 'P b c n'
_space_group_IT_number 60
_cell_length_a 12.9344
_cell_length_b 8.3318
_cell_length_c 9.1992
_cell_angle_alpha 90.00
_cell_angle_beta 90.00
_cell_angle_gamma 90.00
loop_
_space_group_symop_operation_xyz
'x,y,z'
'-x,-y,-z'
'-x+1/2,-y+1/2,z+1/2'
'x+1/2,y+1/2,-z+1/2'
'x+1/2,-y+1/2,-z'
'-x+1/2,y+1/2,z'
'-x,y,-z+1/2'
'x,-y,z+1/2'
loop_
_atom_site_label
_atom_site_fract_x
_atom_site_fract_y
_atom_site_fract_z
_atom_site_occupancy
Ni1 0.0000 0.1356 0.2500 1
P1 0.1428 0.3155 0.0066 1
P2 0.1486 0.0410 0.5101 1
O1 0.0588 0.3091 0.1206 1
O2 0.0680 0.0377 0.6274 1
O3 0.1086 0.4082 0.8740 1
O4 0.1289 0.1383 0.3744 1
O5 0.1816 0.1390 0.9627 1
O6 0.2449 0.3923 0.0795 1
```

## B
## NiP4O12 (PBE with a Hubbard U)

Data for NiP4O12 after structural relaxation.

```
data_NiP4O12
_chemical_formula_sum 'Ni4 P16 O48'
_space_group_name_H-M_alt 'C 1 2/c 1'
_space_group_IT_number 15
_cell_length_a 12.5163
_cell_length_b 7.8921
_cell_length_c 10.0976
_cell_angle_alpha 90.00
_cell_angle_beta 116.12
_cell_angle_gamma 90.00
loop_
_space_group_symop_operation_xyz
'x,y,z'
'-x,-y,-z'
'-x,y,-z+1/2'
'x,-y,z+1/2'
'x+1/2,y+1/2,z'
'-x+1/2,-y+1/2,-z'
'-x+1/2,y+1/2,-z+1/2'
'x+1/2,-y+1/2,z+1/2'
loop_
_atom_site_label
_atom_site_fract_x
_atom_site_fract_y
_atom_site_fract_z
_atom_site_occupancy
Ni1 0.2500 0.2500 0.0000 1
P1 0.0088 0.2456 0.0157 1
P2 0.1785 0.0090 0.6874 1
O1 0.0041 0.4109 0.4164 1
O2 0.0652 0.1128 0.1515 1
O3 0.0776 0.2376 0.9249 1
O4 0.1215 0.1703 0.5805 1
O5 0.2314 0.0619 0.8442 1
O6 0.2333 0.4236 0.8562 1
```

Going by the energies, B is most stable and the next is 1.1 kJ/mol of atoms up.